Entry 1:
Computed, not measured: a geometry-optimized Ti2FeRu structure at the meta-GGA r2SCAN level of DFT.

Output
E_tot ... -67.742 eV for the cell shown

a b c (Å): 4.2575 4.2575 4.2575
angles (deg): 60.00 60.00 60.00
Positions (direct):
Ru: 0.0000 0.0000 0.0000
Fe: 0.5000 0.5000 0.5000
Ti: 0.2500 0.2500 0.2500
Ti: 0.7500 0.7500 0.7500

***

Entry 2:
Computed, not measured: a geometry-optimized CeGe2Pd2 structure at the meta-GGA r2SCAN level of DFT.

Output
E_tot ... -108.756 eV for the cell shown

a b c (Å): 5.8954 5.8954 5.8954
angles (deg): 136.65 136.65 62.97
Positions (direct):
Pd: 0.2500 0.7500 0.5000
Pd: 0.7500 0.2500 0.5000
Ge: 0.3773 0.3773 0.0000
Ce: 0.0000 0.0000 0.0000
Ge: 0.6227 0.6227 0.0000

***

Entry 3:
Computed, not measured: a geometry-optimized La10Se19 structure at the meta-GGA r2SCAN level of DFT.

Output
E_tot ... -1259.856 eV for the cell shown

a b c (Å): 9.4998 9.4998 17.1837
angles (deg): 90.00 90.00 90.00
Positions (direct):
Se: 0.6491 0.9470 0.9371
La: 0.9570 0.8472 0.3794
Se: 0.0530 0.1491 0.4371
Se: 0.5530 0.6491 0.5629
La: 0.6528 0.9570 0.1206
Se: 0.7500 0.2500 0.0660
Se: 0.5717 0.1139 0.7493
La: 0.8520 0.5540 0.6035
Se: 0.6516 0.9514 0.4264
Se: 0.1491 0.4470 0.0629
La: 0.2500 0.7500 0.1152
Se: 0.2500 0.7500 0.9340
Se: 0.7500 0.7500 0.2500
La: 0.0430 0.1528 0.6206
Se: 0.1516 0.4514 0.5736
Se: 0.6139 0.4283 0.2493
La: 0.7500 0.2500 0.3848
La: 0.3520 0.0540 0.3965
Se: 0.8861 0.0717 0.2493
La: 0.6480 0.9460 0.6035
Se: 0.8509 0.5530 0.9371
Se: 0.2500 0.2500 0.7500
La: 0.9460 0.8520 0.8965
Se: 0.3484 0.0486 0.5736
La: 0.2500 0.7500 0.6152
Se: 0.9283 0.3861 0.7493
La: 0.4570 0.3472 0.6206
Se: 0.4283 0.8861 0.2507
Se: 0.7500 0.2500 0.5660
Se: 0.5486 0.6516 0.0736
Se: 0.9719 0.3212 0.2503
La: 0.0540 0.1480 0.1035
Se: 0.4470 0.3509 0.4371
Se: 0.0486 0.1516 0.9264
La: 0.8472 0.5430 0.1206
Se: 0.9514 0.8484 0.0736
Se: 0.2500 0.7500 0.4340
La: 0.7500 0.2500 0.8848
Se: 0.4719 0.8212 0.7497
Se: 0.6788 0.4719 0.7503
Se: 0.9470 0.8509 0.5629
Se: 0.5281 0.1788 0.2503
La: 0.1480 0.4460 0.3965
Se: 0.0281 0.6788 0.7497
Se: 0.4514 0.3484 0.9264
La: 0.1528 0.4570 0.8794
Se: 0.3509 0.0530 0.0629
Se: 0.8212 0.0281 0.7503
Se: 0.1139 0.9283 0.7507
La: 0.5540 0.6480 0.8965
Se: 0.3861 0.5717 0.7507
Se: 0.1788 0.9719 0.2497
Se: 0.8484 0.5486 0.4264
La: 0.5430 0.6528 0.3794
La: 0.3472 0.0430 0.8794
Se: 0.0717 0.6139 0.2507
Se: 0.3212 0.5281 0.2497
La: 0.4460 0.3520 0.1035

***

Entry 4:
Computed, not measured: a geometry-optimized SiO2 structure at the meta-GGA r2SCAN level of DFT.

Output
E_tot ... -339.531 eV for the cell shown

a b c (Å): 10.7828 10.7828 10.7828
angles (deg): 115.25 115.25 115.25
Positions (direct):
Si: 0.7898 0.6295 0.2304
O: 0.2753 0.5000 0.7247
Si: 0.3705 0.2102 0.7696
O: 0.2846 0.0000 0.7154
O: 0.5000 0.7247 0.2753
O: 0.7154 0.0000 0.2846
O: 0.6734 0.1876 0.1876
O: 0.0000 0.2846 0.7154
Si: 0.2304 0.6295 0.7898
O: 0.0000 0.7154 0.2846
O: 0.1876 0.1876 0.6734
O: 0.2753 0.7247 0.5000
Si: 0.3705 0.7696 0.2102
O: 0.2846 0.7154 0.0000
Si: 0.2102 0.3705 0.7696
Si: 0.6295 0.7898 0.2304
Si: 0.2304 0.7898 0.6295
O: 0.5640 0.4360 0.0000
O: 0.0000 0.5640 0.4360
Si: 0.7696 0.2102 0.3705
O: 0.8124 0.3266 0.8124
O: 0.1876 0.6734 0.1876
O: 0.3266 0.8124 0.8124
O: 0.4360 0.5640 0.0000
O: 0.7154 0.2846 0.0000
O: 0.8124 0.8124 0.3266
Si: 0.6295 0.2304 0.7898
O: 0.0000 0.4360 0.5640
O: 0.5000 0.2753 0.7247
O: 0.5640 0.0000 0.4360
Si: 0.2102 0.7696 0.3705
Si: 0.7898 0.2304 0.6295
O: 0.7247 0.5000 0.2753
O: 0.4360 0.0000 0.5640
Si: 0.7696 0.3705 0.2102
O: 0.7247 0.2753 0.5000

***

Entry 5:
Computed, not measured: a geometry-optimized CsPb3 structure at the meta-GGA r2SCAN level of DFT.

Output
E_tot ... -389.573 eV for the cell shown

a b c (Å): 8.2549 8.2549 5.7417
angles (deg): 90.00 90.00 120.00
Positions (direct):
Pb: 0.1280 0.8720 0.2500
Pb: 0.8720 0.7440 0.7500
Cs: 0.6667 0.3333 0.2500
Cs: 0.3333 0.6667 0.7500
Pb: 0.2560 0.1280 0.7500
Pb: 0.1280 0.2560 0.2500
Pb: 0.8720 0.1280 0.7500
Pb: 0.7440 0.8720 0.2500

***

Entry 6:
Computed, not measured: a geometry-optimized RbInF3 structure at the meta-GGA r2SCAN level of DFT.

Output
E_tot ... -118.397 eV for the cell shown

a b c (Å): 6.5387 6.5387 6.5387
angles (deg): 60.00 60.00 60.00
Positions (direct):
In: 0.5000 0.5000 0.5000
F: 0.2254 0.2254 0.7746
F: 0.2254 0.7746 0.2254
Rb: 0.2500 0.2500 0.2500
Rb: 0.7500 0.7500 0.7500
F: 0.7746 0.7746 0.2254
In: 0.0000 0.0000 0.0000
F: 0.2254 0.7746 0.7746
F: 0.7746 0.2254 0.2254
F: 0.7746 0.2254 0.7746

***

Entry 7:
Computed, not measured: a geometry-optimized Gd2ZnGa structure at the meta-GGA r2SCAN level of DFT.

Output
E_tot ... -109.176 eV for the cell shown

a b c (Å): 5.0792 5.0792 5.0792
angles (deg): 60.00 60.00 60.00
Positions (direct):
Gd: 0.2500 0.2500 0.2500
Gd: 0.7500 0.7500 0.7500
Ga: 0.5000 0.5000 0.5000
Zn: 0.0000 0.0000 0.0000

***

Entry 8:
Computed, not measured: a geometry-optimized Ca2Zn3Ag structure at the meta-GGA r2SCAN level of DFT.

Output
E_tot ... -63.976 eV for the cell shown

a b c (Å): 5.7237 5.7237 7.3761
angles (deg): 50.48 50.48 47.21
Positions (direct):
Zn: 0.8431 0.8431 0.0933
Ca: 0.5520 0.5520 0.6956
Zn: 0.8285 0.8285 0.7403
Ca: 0.4487 0.4487 0.3007
Zn: 0.1665 0.1665 0.8921
Ag: 0.1612 0.1612 0.2780

***

Entry 9:
Computed, not measured: a geometry-optimized HoGa3 structure at the meta-GGA r2SCAN level of DFT.

Output
E_tot ... -69.389 eV for the cell shown

a b c (Å): 4.2275 4.2275 4.2275
angles (deg): 90.00 90.00 90.00
Positions (direct):
Ga: 0.5000 0.0000 0.5000
Ga: 0.0000 0.5000 0.5000
Ga: 0.5000 0.5000 0.0000
Ho: 0.0000 0.0000 0.0000

***

Entry 10:
Computed, not measured: a geometry-optimized YAg structure at the meta-GGA r2SCAN level of DFT.

Output
E_tot ... -42.324 eV for the cell shown

a b c (Å): 3.6251 3.6251 3.6251
angles (deg): 90.00 90.00 90.00
Positions (direct):
Y: 0.5000 0.5000 0.5000
Ag: 0.0000 0.0000 0.0000

***

Entry 11:
Computed, not measured: a geometry-optimized PuAl3 structure at the meta-GGA r2SCAN level of DFT.

Output
E_tot ... -216.336 eV for the cell shown

a b c (Å): 6.2152 6.2152 4.6371
angles (deg): 90.00 90.00 120.00
Positions (direct):
Al: 0.1502 0.8498 0.2500
Al: 0.6995 0.8498 0.2500
Pu: 0.3333 0.6667 0.7500
Al: 0.1502 0.3005 0.2500
Al: 0.3005 0.1502 0.7500
Al: 0.8498 0.1502 0.7500
Al: 0.8498 0.6995 0.7500
Pu: 0.6667 0.3333 0.2500

***

Entry 12:
Computed, not measured: a geometry-optimized MgCd3 structure at the meta-GGA r2SCAN level of DFT.

Output
E_tot ... -64.705 eV for the cell shown
Distance to the lowest polymorph of the same formula ... 5 meV per atom

a b c (Å): 4.3950 4.3950 4.3950
angles (deg): 90.00 90.00 90.00
Positions (direct):
Cd: 0.0000 0.5000 0.5000
Mg: 0.0000 0.0000 0.0000
Cd: 0.5000 0.0000 0.5000
Cd: 0.5000 0.5000 0.0000

***

Entry 13:
Computed, not measured: a geometry-optimized MgCuBiO5 structure at the meta-GGA r2SCAN level of DFT.

Output
E_tot ... -905.515 eV for the cell shown

a b c (Å): 5.1292 9.9320 15.2593
angles (deg): 90.00 90.00 90.00
Positions (direct):
Mg: 0.9727 0.6267 0.9155
O: 0.2428 0.9965 0.9924
O: 0.3943 0.0131 0.1864
O: 0.6057 0.9869 0.8136
O: 0.1057 0.0131 0.6864
O: 0.7339 0.7567 0.9844
O: 0.7428 0.0035 0.5076
O: 0.5496 0.8073 0.6578
O: 0.3943 0.5131 0.3136
Mg: 0.9727 0.1267 0.5845
O: 0.3415 0.2958 0.1758
O: 0.9504 0.8073 0.1578
O: 0.8415 0.7042 0.3242
Cu: 0.4967 0.6321 0.0198
O: 0.1585 0.2958 0.6758
Cu: 0.9967 0.8679 0.0198
Cu: 0.9967 0.3679 0.4802
O: 0.5496 0.3073 0.8422
O: 0.0496 0.6927 0.6578
O: 0.7661 0.7567 0.4844
Bi: 0.3677 0.1454 0.7636
O: 0.2428 0.4965 0.5076
Cu: 0.0033 0.1321 0.9802
Mg: 0.0273 0.3733 0.0845
Cu: 0.5033 0.3679 0.9802
O: 0.4504 0.1927 0.3422
O: 0.0496 0.1927 0.8422
O: 0.2661 0.7433 0.4844
O: 0.2572 0.9965 0.4924
O: 0.8943 0.9869 0.3136
O: 0.3415 0.7958 0.3242
O: 0.2339 0.2433 0.5156
Bi: 0.6323 0.3546 0.2636
O: 0.2661 0.2433 0.0156
Mg: 0.4727 0.3733 0.5845
Mg: 0.5273 0.6267 0.4155
Cu: 0.4967 0.1321 0.4802
Cu: 0.5033 0.8679 0.5198
Bi: 0.1323 0.6454 0.2364
Bi: 0.6323 0.8546 0.2364
O: 0.6585 0.7042 0.8242
Mg: 0.4727 0.8733 0.9155
O: 0.2339 0.7433 0.9844
O: 0.1057 0.5131 0.8136
O: 0.2572 0.4965 0.0076
O: 0.9504 0.3073 0.3422
O: 0.6585 0.2042 0.6758
Mg: 0.0273 0.8733 0.4155
O: 0.8943 0.4869 0.1864
Cu: 0.0033 0.6321 0.5198
Mg: 0.5273 0.1267 0.0845
O: 0.7428 0.5035 0.9924
O: 0.4504 0.6927 0.1578
O: 0.1585 0.7958 0.8242
Bi: 0.3677 0.6454 0.7364
O: 0.7572 0.0035 0.0076
O: 0.7339 0.2567 0.5156
O: 0.7661 0.2567 0.0156
O: 0.7572 0.5035 0.4924
O: 0.8415 0.2042 0.1758
O: 0.6057 0.4869 0.6864
Bi: 0.1323 0.1454 0.2636
Bi: 0.8677 0.8546 0.7364
Bi: 0.8677 0.3546 0.7636

***

Entry 14:
Computed, not measured: a geometry-optimized Sc3Al structure at the meta-GGA r2SCAN level of DFT.

Output
E_tot ... -41.874 eV for the cell shown

a b c (Å): 4.4333 4.4278 4.4348
angles (deg): 90.00 90.00 90.00
Positions (direct):
Al: 0.0000 0.0000 0.0000
Sc: 0.5000 0.0000 0.5000
Sc: 0.0000 0.5000 0.5000
Sc: 0.5000 0.5000 0.0000

***

Entry 15:
Computed, not measured: a geometry-optimized VCrO3 structure at the meta-GGA r2SCAN level of DFT.

Output
E_tot ... -238.580 eV for the cell shown

a b c (Å): 5.0308 5.4016 7.3651
angles (deg): 83.90 89.91 89.83
Positions (direct):
O: 0.8509 0.3432 0.9016
V: 0.4960 0.1973 0.8505
Cr: 0.5010 0.8051 0.1531
Cr: 0.5006 0.2013 0.3507
V: 0.9988 0.7000 0.8508
O: 0.3549 0.1564 0.0993
Cr: 0.0004 0.6988 0.3487
O: 0.6956 0.5043 0.2517
O: 0.3462 0.8508 0.4015
V: 0.9981 0.3034 0.1464
O: 0.1523 0.3499 0.4009
O: 0.3050 0.4919 0.7477
O: 0.1562 0.6579 0.0989
O: 0.8035 0.0018 0.2521
V: 0.5005 0.7968 0.6503
O: 0.6529 0.1516 0.5993
Cr: 0.9986 0.3012 0.6490
O: 0.6534 0.8434 0.9037
O: 0.8468 0.6484 0.5952
O: 0.1882 0.9966 0.7487

***

Entry 16:
Computed, not measured: a geometry-optimized Pr2SO6 structure at the meta-GGA r2SCAN level of DFT.

Output
E_tot ... -257.894 eV for the cell shown

a b c (Å): 4.2652 7.3746 8.3044
angles (deg): 106.57 90.01 106.80
Positions (direct):
Pr: 0.3242 0.6648 0.4164
O: 0.9544 0.1803 0.2937
O: 0.2324 0.4931 0.1231
O: 0.2634 0.0023 0.3950
O: 0.0456 0.8197 0.7063
S: 0.0572 0.0000 0.2500
O: 0.2606 0.4931 0.6231
O: 0.7366 0.9977 0.6050
O: 0.7742 0.8197 0.2062
O: 0.7676 0.5069 0.8769
O: 0.7394 0.5069 0.3769
Pr: 0.3406 0.6648 0.9164
Pr: 0.6758 0.3352 0.5836
Pr: 0.6594 0.3352 0.0836
O: 0.2258 0.1803 0.7938
O: 0.2611 0.9977 0.1049
O: 0.7389 0.0023 0.8951
S: 0.9428 0.0000 0.7500

***

| no. | energy of formation from the pure elements (eV/f.u.) |
| --- | --- |
| 1 | -2.03 |
| 2 | -4.25 |
| 3 | -60.56 |
| 4 | -7.58 |
| 5 | -0.82 |
| 6 | -13.31 |
| 7 | -2.03 |
| 8 | -1.81 |
| 9 | -2.18 |
| 10 | -0.65 |
| 11 | -1.62 |
| 12 | -0.22 |
| 13 | -9.81 |
| 14 | -0.95 |
| 15 | -12.56 |
| 16 | -26.27 |